This record from Materials Project describes crystalline Na3NbZnSi2SO12 at its relaxed geometry. The functional is PBE-GGA.

The structure in POSCAR format:
```
Na3NbZnSi2SO12
1.0
9.0869 0.0434 -0.0950
-4.5059 7.8912 0.0950
-0.2417 0.1395 22.5331
Na Nb Zn Si S O
18 6 6 12 6 72
Cartesian
5.8366 0.1901 5.6083
6.0295 4.9322 5.4947
7.2139 2.8547 16.8748
3.2035 0.3166 16.7613
1.2251 2.8525 13.1826
1.4180 7.5946 13.0691
2.8441 5.3776 1.9161
-1.1663 2.8395 1.8025
5.7005 5.5584 20.6620
1.3123 2.3659 20.5485
2.7384 0.1488 9.3955
3.3091 5.5454 9.2819
4.4396 7.8661 11.0771
-0.1322 0.2265 22.3437
4.3340 2.6373 18.5565
4.5849 2.7928 7.2899
-0.0358 5.1603 3.5977
-0.0266 5.4553 14.8643
4.3780 8.0181 14.5648
-0.0530 0.0643 3.2982
4.2724 2.7893 22.0442
4.4225 2.7701 10.7776
-0.0974 5.3123 7.0854
-0.1890 5.4326 18.3520
4.2816 7.8997 7.9078
-0.2403 0.3465 19.1743
4.1760 2.6709 15.3872
4.4768 2.9128 4.1206
-0.1938 5.1939 0.4284
-0.1347 5.5753 11.6950
3.1514 5.6073 5.6956
7.7085 2.3842 5.5945
1.1799 2.4715 16.9621
6.2497 0.1366 16.8611
3.0458 0.3785 13.1750
3.0970 5.0467 13.1689
5.8970 5.0379 1.9084
1.8798 2.6595 1.9023
-1.5657 3.0410 20.7493
-1.5145 7.7091 20.7432
1.2855 7.7003 9.4828
-2.7317 5.3219 9.4767
-1.9164 7.9339 5.7524
-3.3689 5.6971 17.0189
7.0649 2.7485 13.1368
5.8540 0.3722 1.8702
2.4534 5.4110 20.7111
1.2425 3.0346 9.4446
1.8431 0.1939 6.8895
3.8259 6.2267 7.0107
8.0542 1.4650 6.8328
0.9807 1.5777 18.2773
5.2138 6.3112 18.1561
7.2185 0.2968 18.0994
2.7324 7.8183 15.5670
0.4466 1.6350 15.6322
-3.6607 6.5909 15.8252
3.5093 6.6606 4.3657
-0.7028 1.5893 4.3005
-2.8363 7.7397 4.5586
6.3185 2.8998 14.3689
3.7203 0.9979 14.4901
3.4427 4.1275 14.4072
5.6978 4.1441 3.2235
5.3499 0.9429 3.1023
2.8487 2.8197 3.1406
2.8685 2.4500 0.5133
5.1637 4.2013 0.5785
5.5622 1.2660 0.6765
3.4037 1.4318 11.8451
3.7727 4.2952 11.7798
6.1450 2.5544 11.9430
1.7070 5.5622 21.9432
-0.8912 3.6604 22.0644
-1.1688 6.7899 21.9815
1.0863 6.8065 10.7979
0.7384 3.6054 10.6767
-1.7628 5.4821 10.7150
-1.7430 5.1125 8.0876
0.5523 6.8638 8.1529
0.9507 3.9284 8.2509
-1.2078 4.0942 19.4194
-0.8388 6.9576 19.3542
1.5335 5.2168 19.5174
-3.6484 6.6536 9.3393
2.8643 7.8989 9.3278
0.8123 1.6633 9.2395
-0.9483 1.5744 20.5944
-3.1262 7.8372 20.6058
3.4259 6.4693 20.5060
7.8362 1.4141 13.1286
1.3621 0.3967 13.2874
3.7767 6.5884 13.2946
5.0394 6.4869 2.0208
7.3954 0.3715 1.8620
0.8845 1.2999 2.0280
5.3329 1.4682 16.7237
2.7587 2.6701 16.8072
5.2877 4.3692 16.7188
3.7688 4.1407 5.5406
6.0968 2.5123 5.4571
3.5619 1.1010 5.4523
3.2247 4.0765 20.7029
5.8376 3.1026 20.7667
3.6711 1.3596 20.7739
4.9338 1.2581 9.5002
2.7839 3.0339 9.4364
5.3600 4.0058 9.5074
0.9630 3.9912 1.7649
-1.6111 5.1931 1.8484
0.9179 6.8921 1.7601
-0.8427 6.8031 13.1150
1.4853 5.1748 13.0315
-1.0496 3.7634 13.0266
-1.1451 6.5994 5.7442
1.4677 5.6255 5.8080
-0.6987 3.8825 5.8152
0.3223 3.9205 17.0746
-1.8276 5.6964 17.0107
0.7485 6.6682 17.0817
```

Computed properties:
final energy = -6.56 eV per atom
formation energy = -2483 meV/atom